No. 1
DFT (meta-GGA r2SCAN) results for an optimized crystal structure of O.

Cell lengths 4.2034, 4.2034, 4.2034 Å; angles 46.97, 46.97, 46.97 degrees
Closest atoms and distances in Å follow each position.
Element x y z (fractional)
1 O 0.0546 0.0546 0.0546  1 O 1.22
2 O 0.9454 0.9454 0.9454  1 O 1.22

Computed properties:
Polymorph energy (0 for the lowest one), meV/atom: 17
Calculated density, Mg/m³: 1.47
ΔH_f (0 K), meV per atom: 17
Space group: No. 166


No. 2
DFT (meta-GGA r2SCAN) results for an optimized crystal structure of O.

Cell lengths 5.6726, 5.6726, 4.1514 Å; angles 70.13, 70.13, 79.48 degrees
Closest atoms and distances in Å follow each position.
Element x y z (fractional)
1 O 0.7435 0.7435 0.1598  1 O 1.22
2 O 0.8119 0.8119 0.8316  1 O 1.22
3 O 0.6857 0.2458 0.1641  1 O 1.22
4 O 0.2458 0.6857 0.1641  1 O 1.22
5 O 0.3143 0.7542 0.8359  1 O 1.22
6 O 0.7542 0.3143 0.8359  1 O 1.22
7 O 0.2565 0.2565 0.8402  1 O 1.22
8 O 0.1881 0.1881 0.1684  1 O 1.22

Computed properties:
Polymorph energy (0 for the lowest one), meV/atom: 0
Calculated density, Mg/m³: 1.80
ΔH_f (0 K), meV per atom: 0
Space group: No. 12


No. 3
DFT (meta-GGA r2SCAN) results for an optimized crystal structure of OsPbO3.

Cell lengths 7.3093, 7.3097, 7.3098 Å; angles 60.00, 60.00, 60.00 degrees
Closest atoms and distances in Å follow each position.
Element x y z (fractional)
1 Os 0.1250 0.1250 0.6250  6 O 1.96
2 O 0.1946 0.1946 0.8053  2 Os 1.96
3 Pb 0.1250 0.6250 0.6250  6 O 2.61
4 O 0.4446 0.0554 0.4447  2 Os 1.96
5 O 0.1946 0.8054 0.8054  2 Os 1.96
6 O 0.8054 0.8053 0.1946  2 Os 1.96
7 Pb 0.6250 0.6250 0.1250  6 O 2.61
8 O 0.1946 0.8053 0.1946  2 Os 1.96
9 Pb 0.6250 0.1250 0.6250  6 O 2.61
10 Os 0.1250 0.1250 0.1250  6 O 1.96
11 Os 0.1250 0.6250 0.1250  6 O 1.96
12 Pb 0.6250 0.6250 0.6250  6 O 2.61
13 O 0.8054 0.1946 0.1946  2 Os 1.96
14 Os 0.6250 0.1250 0.1250  6 O 1.96
15 O 0.0554 0.4447 0.0554  2 Os 1.96
16 O 0.4446 0.4447 0.0554  2 Os 1.96
17 O 0.0554 0.0554 0.4447  2 Os 1.96
18 O 0.4446 0.0554 0.0554  2 Os 1.96
19 O 0.8054 0.1946 0.8053  2 Os 1.96
20 O 0.0554 0.4446 0.4446  2 Os 1.96

Computed properties:
Calculated density, Mg/m³: 10.71
ΔH_f (0 K), meV per atom: -1089
Space group: No. 227


No. 4
DFT (meta-GGA r2SCAN) results for an optimized crystal structure of Pr3OsO7.

Cell lengths 6.6816, 6.6816, 7.5998 Å; angles 90.00, 90.00, 111.98 degrees
Closest atoms and distances in Å follow each position.
Element x y z (fractional)
1 O 0.8405 0.1027 0.7500  4 Pr 2.31-2.40
2 Os 0.5000 0.5000 0.5000  6 O 1.98-2.00
3 O 0.5824 0.5824 0.7500  2 Os 2.00
4 O 0.4401 0.1908 0.9598  1 Os 1.98
5 Pr 0.9134 0.4692 0.7500  6 O 2.31-2.51
6 O 0.4401 0.1908 0.5402  1 Os 1.98
7 O 0.1908 0.4401 0.5402  1 Os 1.98
8 Pr 0.4692 0.9134 0.7500  6 O 2.31-2.51
9 Os 0.5000 0.5000 0.0000  6 O 1.98-2.00
10 Pr 0.0000 0.0000 0.5000  4 O 2.40
11 O 0.8973 0.1595 0.2500  4 Pr 2.31-2.40
12 O 0.1027 0.8405 0.7500  4 Pr 2.31-2.40
13 O 0.5599 0.8092 0.4598  1 Os 1.98
14 O 0.4176 0.4176 0.2500  2 Os 2.00
15 Pr 0.5308 0.0866 0.2500  6 O 2.31-2.51
16 O 0.1908 0.4401 0.9598  1 Os 1.98
17 O 0.5599 0.8092 0.0402  1 Os 1.98
18 O 0.8092 0.5599 0.0402  1 Os 1.98
19 O 0.8092 0.5599 0.4598  1 Os 1.98
20 Pr 0.0000 0.0000 0.0000  4 O 2.40
21 Pr 0.0866 0.5308 0.2500  6 O 2.31-2.51
22 O 0.1595 0.8973 0.2500  4 Pr 2.31-2.40

Computed properties:
Calculated density, Mg/m³: 7.65
ΔH_f (0 K), meV per atom: -2908
Space group: No. 63


No. 5
DFT (meta-GGA r2SCAN) results for an optimized crystal structure of Sm3OsO7.

Cell lengths 6.5306, 6.5306, 7.4891 Å; angles 90.00, 90.00, 111.01 degrees
Closest atoms and distances in Å follow each position.
Element x y z (fractional)
1 O 0.1855 0.4388 0.5390  1 Os 1.97
2 Sm 0.4752 0.9236 0.7500  6 O 2.27-2.41
3 Os 0.5000 0.5000 0.0000  6 O 1.97-1.98
4 Sm 0.0000 0.0000 0.0000  4 O 2.36
5 Sm 0.9236 0.4752 0.7500  6 O 2.27-2.41
6 Sm 0.0000 0.0000 0.5000  4 O 2.36
7 O 0.8930 0.1573 0.2500  4 Sm 2.27-2.36
8 O 0.1573 0.8930 0.2500  4 Sm 2.27-2.36
9 O 0.8145 0.5612 0.0390  1 Os 1.97
10 O 0.1070 0.8427 0.7500  4 Sm 2.27-2.36
11 Sm 0.0764 0.5248 0.2500  6 O 2.27-2.41
12 O 0.5612 0.8145 0.4610  1 Os 1.97
13 O 0.5871 0.5871 0.7500  2 Os 1.98
14 O 0.8145 0.5612 0.4610  1 Os 1.97
15 O 0.4388 0.1855 0.9610  1 Os 1.97
16 O 0.4129 0.4129 0.2500  2 Os 1.98
17 Os 0.5000 0.5000 0.5000  6 O 1.97-1.98
18 O 0.8427 0.1070 0.7500  4 Sm 2.27-2.36
19 O 0.5612 0.8145 0.0390  1 Os 1.97
20 O 0.4388 0.1855 0.5390  1 Os 1.97
21 Sm 0.5248 0.0764 0.2500  6 O 2.27-2.41
22 O 0.1855 0.4388 0.9610  1 Os 1.97

Computed properties:
Calculated density, Mg/m³: 8.39
ΔH_f (0 K), meV per atom: -2990
Space group: No. 63


No. 6
DFT (meta-GGA r2SCAN) results for an optimized crystal structure of P2O5.

Cell lengths 4.8900, 7.2068, 9.1916 Å; angles 90.00, 90.00, 90.00 degrees
Closest atoms and distances in Å follow each position.
Element x y z (fractional)
1 O 0.2500 0.4104 0.5523  1 P 1.45
2 P 0.2500 0.7853 0.7454  4 O 1.44-1.57
3 P 0.2500 0.7147 0.2454  4 O 1.44-1.57
4 O 0.7500 0.3446 0.1355  1 P 1.44
5 P 0.7500 0.8502 0.0984  4 O 1.45-1.57
6 O 0.2500 0.0896 0.0523  1 P 1.45
7 O 0.2500 0.5008 0.2788  2 P 1.57
8 P 0.7500 0.2853 0.7546  4 O 1.44-1.57
9 O 0.9985 0.7764 0.6390  2 P 1.56-1.57
10 P 0.2500 0.1498 0.9016  4 O 1.45-1.57
11 O 0.7500 0.5896 0.4477  1 P 1.45
12 O 0.7500 0.1554 0.6355  1 P 1.44
13 O 0.5015 0.7764 0.6390  2 P 1.56-1.57
14 O 0.5015 0.7236 0.1390  2 P 1.56-1.57
15 O 0.9985 0.7236 0.1390  2 P 1.56-1.57
16 P 0.7500 0.6498 0.5984  4 O 1.45-1.57
17 O 0.2500 0.6554 0.8645  1 P 1.44
18 O 0.4985 0.2236 0.3610  2 P 1.56-1.57
19 O 0.0015 0.2236 0.3610  2 P 1.56-1.57
20 O 0.7500 0.4992 0.7212  2 P 1.57
21 P 0.2500 0.3502 0.4016  4 O 1.45-1.57
22 O 0.7500 0.0008 0.2212  2 P 1.57
23 O 0.2500 0.9992 0.7788  2 P 1.57
24 P 0.7500 0.2147 0.2546  4 O 1.44-1.57
25 O 0.7500 0.9104 0.9477  1 P 1.45
26 O 0.0015 0.2764 0.8610  2 P 1.56-1.57
27 O 0.4985 0.2764 0.8610  2 P 1.56-1.57
28 O 0.2500 0.8446 0.3645  1 P 1.44

Computed properties:
Polymorph energy (0 for the lowest one), meV/atom: 0
Calculated density, Mg/m³: 2.91
ΔH_f (0 K), meV per atom: -2149
Space group: No. 62


No. 7
DFT (meta-GGA r2SCAN) results for an optimized crystal structure of P2O5.

Cell lengths 7.4080, 7.4080, 7.4080 Å; angles 87.29, 87.29, 87.29 degrees
Closest atoms and distances in Å follow each position.
Element x y z (fractional)
1 P 0.9440 0.8116 0.1269  4 O 1.43-1.60
2 O 0.4479 0.5624 0.7270  2 P 1.60
3 P 0.4440 0.6269 0.3116  4 O 1.43-1.60
4 O 0.0604 0.7809 0.9432  2 P 1.60
5 O 0.9432 0.0604 0.7809  2 P 1.60
6 O 0.6512 0.2301 0.8946  1 P 1.43
7 O 0.7384 0.7384 0.7384  1 P 1.43
8 O 0.5604 0.4432 0.2809  2 P 1.60
9 P 0.1316 0.1316 0.1316  4 O 1.43-1.60
10 P 0.1269 0.9440 0.8116  4 O 1.43-1.60
11 O 0.2301 0.8946 0.6512  1 P 1.43
12 O 0.1512 0.3946 0.7301  1 P 1.43
13 P 0.6269 0.3116 0.4440  4 O 1.43-1.60
14 O 0.7809 0.9432 0.0604  2 P 1.60
15 P 0.6316 0.6316 0.6316  4 O 1.43-1.60
16 O 0.8946 0.6512 0.2301  1 P 1.43
17 O 0.7270 0.4479 0.5624  2 P 1.60
18 O 0.4432 0.2809 0.5604  2 P 1.60
19 O 0.2809 0.5604 0.4432  2 P 1.60
20 P 0.8116 0.1269 0.9440  4 O 1.43-1.60
21 O 0.5624 0.7270 0.4479  2 P 1.60
22 O 0.2270 0.0624 0.9479  2 P 1.60
23 O 0.0624 0.9479 0.2270  2 P 1.60
24 P 0.3116 0.4440 0.6269  4 O 1.43-1.60
25 O 0.3946 0.7301 0.1512  1 P 1.43
26 O 0.2384 0.2384 0.2384  1 P 1.43
27 O 0.9479 0.2270 0.0624  2 P 1.60
28 O 0.7301 0.1512 0.3946  1 P 1.43

Computed properties:
Polymorph energy (0 for the lowest one), meV/atom: 51
Calculated density, Mg/m³: 2.33
ΔH_f (0 K), meV per atom: -2098
Space group: No. 161


No. 8
DFT (meta-GGA r2SCAN) results for an optimized crystal structure of P2O5.

Cell lengths 4.8350, 4.8350, 8.5619 Å; angles 99.54, 99.54, 114.40 degrees
Closest atoms and distances in Å follow each position.
Element x y z (fractional)
1 O 0.8521 0.2163 0.2266  2 P 1.56-1.58
2 O 0.9663 0.1021 0.7266  2 P 1.56-1.58
3 O 0.7502 0.2502 0.5000  2 P 1.58
4 P 0.7390 0.4022 0.3503  4 O 1.44-1.58
5 P 0.1522 0.9890 0.8503  4 O 1.44-1.58
6 O 0.9897 0.6255 0.7734  2 P 1.56-1.58
7 P 0.0519 0.3887 0.6497  4 O 1.44-1.58
8 O 0.3514 0.5200 0.6103  1 P 1.44
9 O 0.3755 0.2397 0.2734  2 P 1.56-1.58
10 P 0.1387 0.3019 0.1497  4 O 1.44-1.58
11 O 0.0002 0.0002 0.0000  2 P 1.58
12 O 0.2700 0.6014 0.1103  1 P 1.44
13 O 0.4911 0.1597 0.8897  1 P 1.44
14 O 0.9097 0.7411 0.3897  1 P 1.44

Computed properties:
Polymorph energy (0 for the lowest one), meV/atom: 11
Calculated density, Mg/m³: 2.72
ΔH_f (0 K), meV per atom: -2138
Space group: No. 43


No. 9
DFT (meta-GGA r2SCAN) results for an optimized crystal structure of P2Pb4O9.

Cell lengths 7.1660, 9.4860, 14.5334 Å; angles 75.61, 90.00, 90.00 degrees
Closest atoms and distances in Å follow each position.
Element x y z (fractional)
1 O 0.2854 0.1796 0.0231  1 P 1.54
2 P 0.2331 0.6309 0.3144  4 O 1.54-1.55
3 Pb 0.4875 0.2841 0.8876  4 O 2.27-2.54
4 O 0.1010 0.7456 0.3386  1 P 1.55
5 O 0.4940 0.9714 0.1106  1 P 1.54
6 Pb 0.7698 0.6727 0.3326  3 O 2.26-2.48
7 Pb 0.9875 0.7159 0.6124  4 O 2.27-2.54
8 O 0.7225 0.9339 0.3096  1 P 1.56
9 O 0.0060 0.9714 0.6106  1 P 1.54
10 P 0.2669 0.6309 0.8144  4 O 1.54-1.55
11 O 0.3990 0.7456 0.8386  1 P 1.55
12 Pb 0.5125 0.7159 0.1124  4 O 2.27-2.54
13 Pb 0.1993 0.9652 0.8517  4 O 2.37-2.57
14 Pb 0.6993 0.0348 0.6483  4 O 2.37-2.57
15 Pb 0.9968 0.6858 0.0839  4 O 2.24-2.50
16 O 0.2775 0.0661 0.6904  1 P 1.56
17 P 0.7331 0.3691 0.1856  4 O 1.54-1.55
18 Pb 0.3007 0.9652 0.3517  4 O 2.37-2.57
19 Pb 0.2302 0.3273 0.6674  3 O 2.26-2.48
20 O 0.7570 0.4992 0.0988  1 P 1.54
21 O 0.8308 0.0806 0.9316  1 P 1.52
22 O 0.0780 0.7059 0.7827  1 P 1.55
23 O 0.5060 0.0286 0.8894  1 P 1.54
24 P 0.2069 0.0317 0.5967  4 O 1.52-1.56
25 P 0.7931 0.9683 0.4033  4 O 1.52-1.56
26 Pb 0.5032 0.6858 0.5839  4 O 2.24-2.50
27 Pb 0.0125 0.2841 0.3876  4 O 2.27-2.54
28 O 0.8549 0.4276 0.7664  1 P 1.55
29 O 0.3549 0.5724 0.7336  1 P 1.55
30 O 0.7775 0.9339 0.8096  1 P 1.56
31 O 0.9220 0.2941 0.2173  1 P 1.55
32 O 0.9940 0.0286 0.3894  1 P 1.54
33 Pb 0.4968 0.3142 0.4161  4 O 2.24-2.50
34 O 0.5780 0.2941 0.7173  1 P 1.55
35 P 0.7669 0.3691 0.6856  4 O 1.54-1.55
36 O 0.7430 0.4992 0.5988  1 P 1.54
37 O 0.3308 0.9194 0.5684  1 P 1.52
38 Pb 0.0032 0.3142 0.9161  4 O 2.24-2.50
39 O 0.1451 0.5724 0.2336  1 P 1.55
40 O 0.6451 0.4276 0.2664  1 P 1.55
41 O 0.7854 0.8204 0.4769  1 P 1.54
42 O 0.7886 0.7671 0.1740  4 Pb 2.24-2.47
43 Pb 0.2698 0.3273 0.1674  3 O 2.26-2.48
44 O 0.4220 0.7059 0.2827  1 P 1.55
45 O 0.2570 0.5008 0.4012  1 P 1.54
46 O 0.2114 0.2329 0.8260  4 Pb 2.24-2.47
47 O 0.7114 0.7671 0.6740  4 Pb 2.24-2.47
48 O 0.2225 0.0661 0.1904  1 P 1.56
49 O 0.6692 0.0806 0.4316  1 P 1.52
50 O 0.2430 0.5008 0.9012  1 P 1.54
51 P 0.2931 0.0317 0.0967  4 O 1.52-1.56
52 Pb 0.8007 0.0348 0.1483  4 O 2.37-2.57
53 Pb 0.7302 0.6727 0.8326  3 O 2.26-2.48
54 O 0.2886 0.2329 0.3260  4 Pb 2.24-2.47
55 O 0.1692 0.9194 0.0684  1 P 1.52
56 O 0.6010 0.2544 0.1614  1 P 1.55
57 P 0.7069 0.9683 0.9033  4 O 1.52-1.56
58 O 0.2146 0.1796 0.5231  1 P 1.54
59 O 0.7146 0.8204 0.9769  1 P 1.54
60 O 0.8990 0.2544 0.6614  1 P 1.55

Computed properties:
Calculated density, Mg/m³: 7.18
ΔH_f (0 K), meV per atom: -1987
Space group: No. 14


No. 10
DFT (meta-GGA r2SCAN) results for an optimized crystal structure of P2Pd2O7.

Cell lengths 7.1018, 7.1018, 8.0286 Å; angles 82.91, 82.91, 43.68 degrees
Closest atoms and distances in Å follow each position.
Element x y z (fractional)
1 O 0.5149 0.4851 0.2500  2 P 1.60
2 O 0.4851 0.5149 0.7500  2 P 1.60
3 O 0.6986 0.0761 0.9091  1 P 1.51
4 O 0.3885 0.2316 0.2875  1 P 1.50
5 Pd 0.0000 0.0000 0.5000  4 O 2.01-2.05
6 Pd 0.5000 0.0000 0.5000  4 O 2.00-2.06
7 P 0.5133 0.2680 0.7677  4 O 1.50-1.60
8 O 0.6357 0.1414 0.5912  1 P 1.57
9 O 0.8586 0.3643 0.9088  1 P 1.57
10 Pd 0.0000 0.0000 0.0000  4 O 2.01-2.05
11 O 0.0761 0.6986 0.4091  1 P 1.51
12 P 0.4867 0.7320 0.2323  4 O 1.50-1.60
13 Pd 0.0000 0.5000 0.0000  4 O 2.00-2.06
14 O 0.1414 0.6357 0.0912  1 P 1.57
15 O 0.6115 0.7684 0.7125  1 P 1.50
16 O 0.9239 0.3014 0.5909  1 P 1.51
17 P 0.2680 0.5133 0.2677  4 O 1.50-1.60
18 O 0.7684 0.6115 0.2125  1 P 1.50
19 O 0.2316 0.3885 0.7875  1 P 1.50
20 O 0.3014 0.9239 0.0909  1 P 1.51
21 O 0.3643 0.8586 0.4088  1 P 1.57
22 P 0.7320 0.4867 0.7323  4 O 1.50-1.60

Computed properties:
Calculated density, Mg/m³: 4.63
ΔH_f (0 K), meV per atom: -1664
Space group: No. 15


No. 11
DFT (meta-GGA r2SCAN) results for an optimized crystal structure of Tl2P4Pd3O14.

Cell lengths 9.9528, 9.9528, 9.9528 Å; angles 119.65, 120.05, 90.27 degrees
Closest atoms and distances in Å follow each position.
Element x y z (fractional)
1 O 0.2291 0.1641 0.6857  1 P 1.52
2 Tl 0.7139 0.0270 0.6869  8 O 2.91-3.23, 1 Pd 3.14
3 P 0.6236 0.4299 0.7551  4 O 1.51-1.61
4 O 0.5812 0.0093 0.3068  1 P 1.53
5 O 0.9784 0.0434 0.3143  1 P 1.52
6 O 0.4188 0.9907 0.6932  1 P 1.53
7 O 0.2025 0.7744 0.6932  1 P 1.53
8 Tl 0.1598 0.4730 0.6869  8 O 2.91-3.23, 1 Pd 3.14
9 O 0.1726 0.2150 0.2422  1 P 1.51
10 O 0.0216 0.9566 0.6857  1 P 1.52
11 O 0.2291 0.5434 0.0650  1 P 1.52
12 O 0.4728 0.4304 0.7578  1 P 1.51
13 Pd 0.3067 0.7500 0.5567  4 O 2.02
14 O 0.7709 0.4566 0.9350  1 P 1.52
15 P 0.8252 0.0701 0.1936  4 O 1.51-1.61
16 O 0.5812 0.2744 0.5719  1 P 1.53
17 P 0.6236 0.8685 0.1936  4 O 1.51-1.61
18 O 0.4728 0.7150 0.0424  1 P 1.51
19 O 0.6678 0.5817 0.7495  2 P 1.61
20 O 0.7975 0.4907 0.5719  1 P 1.53
21 Pd 0.5000 0.5000 0.0000  4 O 2.01
22 O 0.3322 0.0817 0.9139  2 P 1.61
23 Tl 0.2861 0.9730 0.3131  8 O 2.91-3.23, 1 Pd 3.14
24 O 0.1726 0.9304 0.9576  1 P 1.51
25 P 0.1748 0.9299 0.8064  4 O 1.51-1.61
26 O 0.6678 0.9183 0.0861  2 P 1.61
27 O 0.4188 0.7256 0.4281  1 P 1.53
28 Pd 0.0000 0.5000 0.0000  4 O 2.01
29 O 0.5272 0.2850 0.9576  1 P 1.51
30 Pd 0.0000 0.0000 0.5000  4 O 2.01
31 O 0.8274 0.7850 0.7578  1 P 1.51
32 Pd 0.0000 0.0000 0.0000  4 O 2.01
33 O 0.0216 0.3359 0.0650  1 P 1.52
34 O 0.8274 0.0696 0.0424  1 P 1.51
35 P 0.3764 0.1315 0.8064  4 O 1.51-1.61
36 O 0.9784 0.6641 0.9350  1 P 1.52
37 O 0.5272 0.5696 0.2422  1 P 1.51
38 P 0.1748 0.3685 0.2449  4 O 1.51-1.61
39 P 0.8252 0.6315 0.7551  4 O 1.51-1.61
40 O 0.7975 0.2256 0.3068  1 P 1.53
41 O 0.7709 0.8359 0.3143  1 P 1.52
42 O 0.3322 0.4183 0.2505  2 P 1.61
43 P 0.3764 0.5701 0.2449  4 O 1.51-1.61
44 Pd 0.6933 0.2500 0.4433  4 O 2.02
45 Tl 0.8402 0.5270 0.3131  8 O 2.91-3.23, 1 Pd 3.14
46 O 0.2025 0.5093 0.4281  1 P 1.53

Computed properties:
Calculated density, Mg/m³: 5.11
ΔH_f (0 K), meV per atom: -1751
Space group: No. 74


No. 12
DFT (meta-GGA r2SCAN) results for an optimized crystal structure of PrPO4.

Cell lengths 5.9421, 5.9421, 5.9420 Å; angles 106.09, 106.09, 116.47 degrees
Closest atoms and distances in Å follow each position.
Element x y z (fractional)
1 O 0.9011 0.5714 0.6703  1 P 1.54
2 Pr 0.2500 0.7500 0.5000  8 O 2.44-2.50
3 P 0.5000 0.5000 0.0000  4 O 1.54
4 O 0.9011 0.2308 0.3297  1 P 1.54
5 P 0.7500 0.2500 0.5000  4 O 1.54
6 O 0.8214 0.6511 0.1703  1 P 1.54
7 O 0.3489 0.5192 0.1703  1 P 1.54
8 O 0.4286 0.0989 0.3297  1 P 1.54
9 Pr 0.0000 0.0000 0.0000  8 O 2.44-2.50
10 O 0.4808 0.6511 0.8297  1 P 1.54
11 O 0.7692 0.0989 0.6703  1 P 1.54
12 O 0.3489 0.1786 0.8297  1 P 1.54

Computed properties:
Calculated density, Mg/m³: 4.91
ΔH_f (0 K), meV per atom: -3255
Space group: No. 141